# Li2CoC2O6 (PBE with a Hubbard U, relaxed)
# **Energy of formation from the pure elements**: -1.95 eV per atom
# **Energy relative to the lowest polymorph listed for this composition**: 17 meV per atom
# **Magnetic moment**: 3.00 μB per formula unit
# **Total DFT energy (no corrections)**: -74.7 eV per formula unit
data_Li2CoC2O6
_space_group_name_H-M_alt 'P 1 21/c 1'
_space_group_IT_number 14
_space_group_name_Hall '-P 2ybc'
_cell_length_a 7.577
_cell_length_b 9.723
_cell_length_c 9.129
_cell_angle_alpha 90.00
_cell_angle_beta 124.02
_cell_angle_gamma 90.00
loop_
_atom_site_label
_atom_site_type_symbol
_atom_site_fract_x
_atom_site_fract_y
_atom_site_fract_z
Li1 Li 0.135 0.121 0.143
Li2 Li 0.344 0.683 0.711
Co1 Co 0.040 0.119 0.452
C1 C 0.010 0.118 0.769
C2 C 0.424 0.515 0.198
O1 O 0.016 0.014 0.252
O2 O 0.021 0.675 0.617
O3 O 0.060 0.192 0.681
O4 O 0.293 0.617 0.162
O5 O 0.355 0.102 0.612
O6 O 0.377 0.024 0.184